(1)
Density functional theory data (PBE) for crystalline NaBe3Al2Si6O19 at its relaxed geometry.

a b c (Å): 9.320 9.320 9.254
angles (deg): 90.00 90.00 120.00
Positions (direct):
Na  0.000  0.000  0.000
Na  0.000  0.000  0.500
Be  0.000  0.500  0.250
Be  0.000  0.500  0.750
Be  0.500  0.000  0.250
Be  0.500  0.000  0.750
Be  0.500  0.500  0.250
Be  0.500  0.500  0.750
Al  0.333  0.667  0.250
Al  0.333  0.667  0.750
Al  0.667  0.333  0.250
Al  0.667  0.333  0.750
Si  0.115  0.387  0.000
Si  0.115  0.728  0.500
Si  0.272  0.387  0.500
Si  0.272  0.885  0.000
Si  0.387  0.115  0.500
Si  0.387  0.272  0.000
Si  0.613  0.728  0.000
Si  0.613  0.885  0.500
Si  0.728  0.115  0.000
Si  0.728  0.613  0.500
Si  0.885  0.272  0.500
Si  0.885  0.613  0.000
O  0.000  0.000  0.250
O  0.000  0.000  0.750
O  0.074  0.308  0.500
O  0.074  0.766  0.000
O  0.145  0.498  0.146
O  0.145  0.498  0.854
O  0.145  0.646  0.354
O  0.145  0.646  0.646
O  0.234  0.308  0.000
O  0.234  0.926  0.500
O  0.308  0.074  0.000
O  0.308  0.234  0.500
O  0.354  0.498  0.354
O  0.354  0.498  0.646
O  0.354  0.855  0.146
O  0.354  0.855  0.854
O  0.498  0.145  0.354
O  0.498  0.145  0.646
O  0.498  0.354  0.146
O  0.498  0.354  0.854
O  0.502  0.646  0.146
O  0.502  0.646  0.854
O  0.502  0.855  0.354
O  0.502  0.855  0.646
O  0.646  0.145  0.146
O  0.646  0.145  0.854
O  0.646  0.502  0.354
O  0.646  0.502  0.646
O  0.692  0.766  0.500
O  0.692  0.926  0.000
O  0.766  0.074  0.500
O  0.766  0.692  0.000
O  0.855  0.354  0.354
O  0.855  0.354  0.646
O  0.855  0.502  0.146
O  0.855  0.502  0.854
O  0.926  0.234  0.000
O  0.926  0.692  0.500

DFT formation energy   -3090 meV/atom
ρ   2.8 Mg/m³
Spin magnetization   1.00 μB/f.u.

(2)
Density functional theory data (PBE) for crystalline Be3Al2Si6O18 at its relaxed geometry.

a b c (Å): 9.303 9.303 9.278
angles (deg): 90.00 90.00 120.00
Positions (direct):
Be  0.000  0.500  0.250
Be  0.000  0.500  0.750
Be  0.500  0.000  0.250
Be  0.500  0.000  0.750
Be  0.500  0.500  0.250
Be  0.500  0.500  0.750
Al  0.333  0.667  0.250
Al  0.333  0.667  0.750
Al  0.667  0.333  0.250
Al  0.667  0.333  0.750
Si  0.115  0.387  0.000
Si  0.115  0.728  0.500
Si  0.272  0.387  0.500
Si  0.272  0.885  0.000
Si  0.387  0.115  0.500
Si  0.387  0.272  0.000
Si  0.613  0.728  0.000
Si  0.613  0.885  0.500
Si  0.728  0.115  0.000
Si  0.728  0.613  0.500
Si  0.885  0.272  0.500
Si  0.885  0.613  0.000
O  0.074  0.309  0.500
O  0.074  0.764  0.000
O  0.145  0.498  0.146
O  0.145  0.498  0.854
O  0.145  0.646  0.354
O  0.145  0.646  0.646
O  0.236  0.309  0.000
O  0.236  0.926  0.500
O  0.309  0.074  0.000
O  0.309  0.236  0.500
O  0.354  0.498  0.354
O  0.354  0.498  0.646
O  0.354  0.855  0.146
O  0.354  0.855  0.854
O  0.498  0.145  0.354
O  0.498  0.145  0.646
O  0.498  0.354  0.146
O  0.498  0.354  0.854
O  0.502  0.646  0.146
O  0.502  0.646  0.854
O  0.502  0.855  0.354
O  0.502  0.855  0.646
O  0.646  0.145  0.146
O  0.646  0.145  0.854
O  0.646  0.502  0.354
O  0.646  0.502  0.646
O  0.691  0.764  0.500
O  0.691  0.926  0.000
O  0.764  0.074  0.500
O  0.764  0.691  0.000
O  0.855  0.354  0.354
O  0.855  0.354  0.646
O  0.855  0.502  0.146
O  0.855  0.502  0.854
O  0.926  0.236  0.000
O  0.926  0.691  0.500

DFT formation energy   -3268 meV/atom
ρ   2.6 Mg/m³
Spin magnetization   0.00 μB/f.u.

(3)
Density functional theory data (PBE) for crystalline Be6Al4Si12O37 at its relaxed geometry.

a b c (Å): 9.302 9.302 9.282
angles (deg): 90.00 90.00 120.00
Positions (direct):
Be  0.000  0.500  0.000
Be  0.000  0.500  0.500
Be  0.500  0.000  0.000
Be  0.500  0.000  0.500
Be  0.500  0.500  0.000
Be  0.500  0.500  0.500
Al  0.333  0.667  0.000
Al  0.333  0.667  0.500
Al  0.667  0.333  0.000
Al  0.667  0.333  0.500
Si  0.115  0.387  0.250
Si  0.115  0.728  0.750
Si  0.272  0.387  0.750
Si  0.272  0.885  0.250
Si  0.387  0.115  0.750
Si  0.387  0.272  0.250
Si  0.613  0.728  0.250
Si  0.613  0.885  0.750
Si  0.728  0.115  0.250
Si  0.728  0.613  0.750
Si  0.885  0.272  0.750
Si  0.885  0.613  0.250
O  0.000  0.000  0.500
O  0.074  0.310  0.750
O  0.074  0.764  0.250
O  0.144  0.498  0.104
O  0.144  0.498  0.396
O  0.144  0.646  0.604
O  0.144  0.646  0.896
O  0.236  0.310  0.250
O  0.236  0.926  0.750
O  0.310  0.074  0.250
O  0.310  0.236  0.750
O  0.354  0.498  0.604
O  0.354  0.498  0.896
O  0.354  0.856  0.104
O  0.354  0.856  0.396
O  0.498  0.144  0.604
O  0.498  0.144  0.896
O  0.498  0.354  0.104
O  0.498  0.354  0.396
O  0.502  0.646  0.104
O  0.502  0.646  0.396
O  0.502  0.856  0.604
O  0.502  0.856  0.896
O  0.646  0.144  0.104
O  0.646  0.144  0.396
O  0.646  0.502  0.604
O  0.646  0.502  0.896
O  0.690  0.764  0.750
O  0.690  0.926  0.250
O  0.764  0.074  0.750
O  0.764  0.690  0.250
O  0.856  0.354  0.604
O  0.856  0.354  0.896
O  0.856  0.502  0.104
O  0.856  0.502  0.396
O  0.926  0.236  0.250
O  0.926  0.690  0.750

DFT formation energy   -3173 meV/atom
ρ   2.6 Mg/m³
Spin magnetization   2.00 μB/f.u.

(4)
Density functional theory data (PBE) for crystalline Be3Al2Si6O19 at its relaxed geometry.

a b c (Å): 9.304 9.304 9.290
angles (deg): 90.00 90.00 120.00
Positions (direct):
Be  0.000  0.500  0.250
Be  0.000  0.500  0.750
Be  0.500  0.000  0.250
Be  0.500  0.000  0.750
Be  0.500  0.500  0.250
Be  0.500  0.500  0.750
Al  0.333  0.667  0.250
Al  0.333  0.667  0.750
Al  0.667  0.333  0.250
Al  0.667  0.333  0.750
Si  0.116  0.388  0.000
Si  0.116  0.727  0.500
Si  0.273  0.388  0.500
Si  0.273  0.884  0.000
Si  0.388  0.116  0.500
Si  0.388  0.273  0.000
Si  0.612  0.727  0.000
Si  0.612  0.884  0.500
Si  0.727  0.116  0.000
Si  0.727  0.612  0.500
Si  0.884  0.273  0.500
Si  0.884  0.612  0.000
O  0.000  0.000  0.250
O  0.000  0.000  0.750
O  0.074  0.310  0.500
O  0.074  0.764  0.000
O  0.145  0.499  0.146
O  0.145  0.499  0.854
O  0.145  0.646  0.354
O  0.145  0.646  0.646
O  0.236  0.310  0.000
O  0.236  0.926  0.500
O  0.310  0.074  0.000
O  0.310  0.236  0.500
O  0.354  0.499  0.354
O  0.354  0.499  0.646
O  0.354  0.855  0.146
O  0.354  0.855  0.854
O  0.499  0.145  0.354
O  0.499  0.145  0.646
O  0.499  0.354  0.146
O  0.499  0.354  0.854
O  0.501  0.646  0.146
O  0.501  0.646  0.854
O  0.501  0.855  0.354
O  0.501  0.855  0.646
O  0.646  0.145  0.146
O  0.646  0.145  0.854
O  0.646  0.501  0.354
O  0.646  0.501  0.646
O  0.690  0.764  0.500
O  0.690  0.926  0.000
O  0.764  0.074  0.500
O  0.764  0.690  0.000
O  0.855  0.354  0.354
O  0.855  0.354  0.646
O  0.855  0.501  0.146
O  0.855  0.501  0.854
O  0.926  0.236  0.000
O  0.926  0.690  0.500

DFT formation energy   -3080 meV/atom
ρ   2.6 Mg/m³
Spin magnetization   2.00 μB/f.u.

(5)
Density functional theory data (PBE) for crystalline Be12Al8Si24O73 at its relaxed geometry.

a b c (Å): 13.136 13.136 13.136
angles (deg): 138.54 104.37 90.14
Positions (direct):
Be  0.000  0.000  0.000
Be  0.000  0.000  0.500
Be  0.000  0.500  0.000
Be  0.250  0.250  0.000
Be  0.250  0.250  0.500
Be  0.250  0.750  0.000
Be  0.500  0.000  0.000
Be  0.500  0.500  0.000
Be  0.500  0.500  0.500
Be  0.750  0.250  0.000
Be  0.750  0.750  0.000
Be  0.750  0.750  0.500
Al  0.083  0.250  0.833
Al  0.167  0.000  0.167
Al  0.333  0.500  0.833
Al  0.417  0.250  0.167
Al  0.583  0.750  0.833
Al  0.667  0.500  0.167
Al  0.833  0.000  0.833
Al  0.917  0.750  0.167
Si  0.011  0.123  0.384
Si  0.067  0.955  0.772
Si  0.069  0.453  0.772
Si  0.181  0.797  0.228
Si  0.183  0.295  0.228
Si  0.239  0.127  0.616
Si  0.261  0.877  0.888
Si  0.317  0.545  0.112
Si  0.319  0.547  0.616
Si  0.431  0.203  0.384
Si  0.433  0.205  0.888
Si  0.489  0.873  0.112
Si  0.511  0.623  0.384
Si  0.567  0.455  0.772
Si  0.569  0.953  0.772
Si  0.681  0.297  0.228
Si  0.683  0.795  0.228
Si  0.739  0.627  0.616
Si  0.761  0.377  0.888
Si  0.817  0.045  0.112
Si  0.819  0.047  0.616
Si  0.931  0.703  0.384
Si  0.933  0.705  0.888
Si  0.989  0.373  0.112
O  0.007  0.816  0.573
O  0.020  0.874  0.999
O  0.021  0.376  0.001
O  0.030  0.294  0.573
O  0.052  0.406  0.854
O  0.053  0.698  0.146
O  0.088  0.352  0.191
O  0.125  0.124  0.645
O  0.125  0.124  0.854
O  0.125  0.126  0.146
O  0.125  0.126  0.355
O  0.162  0.898  0.809
O  0.197  0.552  0.854
O  0.198  0.844  0.146
O  0.220  0.956  0.427
O  0.229  0.874  0.999
O  0.230  0.376  0.001
O  0.243  0.434  0.427
O  0.257  0.683  0.191
O  0.270  0.272  0.146
O  0.271  0.270  0.645
O  0.280  0.706  0.736
O  0.302  0.448  0.645
O  0.303  0.156  0.355
O  0.338  0.148  0.736
O  0.375  0.020  0.999
O  0.375  0.228  0.999
O  0.375  0.522  0.001
O  0.375  0.730  0.001
O  0.412  0.602  0.264
O  0.447  0.594  0.645
O  0.448  0.302  0.355
O  0.470  0.044  0.264
O  0.479  0.480  0.355
O  0.480  0.478  0.854
O  0.493  0.066  0.809
O  0.500  0.000  0.500
O  0.507  0.317  0.574
O  0.520  0.374  0.999
O  0.521  0.876  0.001
O  0.530  0.794  0.573
O  0.552  0.906  0.854
O  0.553  0.198  0.146
O  0.588  0.852  0.191
O  0.625  0.624  0.645
O  0.625  0.624  0.854
O  0.625  0.626  0.146
O  0.625  0.626  0.355
O  0.662  0.398  0.809
O  0.697  0.052  0.854
O  0.698  0.344  0.146
O  0.720  0.456  0.427
O  0.729  0.374  0.999
O  0.730  0.876  0.001
O  0.743  0.934  0.426
O  0.757  0.184  0.191
O  0.770  0.772  0.146
O  0.771  0.770  0.645
O  0.780  0.206  0.736
O  0.802  0.948  0.645
O  0.803  0.656  0.355
O  0.838  0.648  0.736
O  0.875  0.022  0.001
O  0.875  0.230  0.001
O  0.875  0.520  0.999
O  0.875  0.728  0.999
O  0.912  0.102  0.264
O  0.947  0.094  0.645
O  0.948  0.802  0.355
O  0.970  0.544  0.264
O  0.979  0.980  0.355
O  0.980  0.978  0.854
O  0.993  0.566  0.809

DFT formation energy   -3214 meV/atom
ρ   2.6 Mg/m³
Spin magnetization   0.00 μB/f.u.

(6)
Density functional theory data (PBE) for crystalline AlBi3 at its relaxed geometry.

a b c (Å): 4.887 4.887 4.887
angles (deg): 90.00 90.00 90.00
Positions (direct):
Al  0.000  0.000  0.000
Bi  0.000  0.500  0.500
Bi  0.500  0.000  0.500
Bi  0.500  0.500  0.000

DFT formation energy   232 meV/atom
ρ   9.3 Mg/m³
Spin magnetization   0.00 μB/f.u.

(7)
Density functional theory data (PBE) for crystalline AlBi at its relaxed geometry.

a b c (Å): 6.449 6.449 6.449
angles (deg): 90.00 90.00 90.00
Positions (direct):
Al  0.000  0.000  0.000
Al  0.000  0.500  0.500
Al  0.500  0.000  0.500
Al  0.500  0.500  0.000
Bi  0.250  0.250  0.750
Bi  0.250  0.750  0.250
Bi  0.750  0.250  0.250
Bi  0.750  0.750  0.750

DFT formation energy   91 meV/atom
ρ   5.8 Mg/m³
Spin magnetization   0.00 μB/f.u.